1.
SnHgF6 | GGA-PBE | relaxed

Values from the calculation:
* energy relative to the elements: -2.4079 eV per atom

abc: 6.048 6.048 6.048
angles: 55.43 55.43 55.43
Fractional positions:
Hg (0.500, 0.500, 0.500)
F (0.347, 0.767, 0.113)
F (0.887, 0.653, 0.233)
F (0.653, 0.233, 0.887)
F (0.767, 0.113, 0.347)
F (0.233, 0.887, 0.653)
F (0.113, 0.347, 0.767)
Sn (0.000, 0.000, 0.000)

2.
Ca3Be2P4H10O20 | GGA-PBE | relaxed

Values from the calculation:
* total magnetization: 0.0 μB per cell
* energy relative to the elements: -2.4284 eV per atom

abc: 15.166 7.146 7.406
angles: 84.17 90.00 90.00
Fractional positions:
O (0.240, 0.361, 0.083)
O (0.728, 0.273, 0.342)
O (0.939, 0.769, 0.488)
O (0.561, 0.769, 0.988)
O (0.439, 0.231, 0.012)
O (0.061, 0.231, 0.512)
O (0.064, 0.857, 0.739)
O (0.355, 0.614, 0.956)
O (0.853, 0.495, 0.191)
O (0.174, 0.964, 0.348)
O (0.564, 0.143, 0.761)
O (0.260, 0.361, 0.583)
O (0.139, 0.155, 0.927)
O (0.272, 0.727, 0.658)
O (0.062, 0.761, 0.193)
O (0.438, 0.761, 0.693)
O (0.855, 0.386, 0.544)
O (0.562, 0.239, 0.307)
O (0.740, 0.639, 0.417)
O (0.436, 0.857, 0.239)
O (0.645, 0.386, 0.044)
O (0.639, 0.845, 0.573)
O (0.326, 0.964, 0.848)
O (0.145, 0.614, 0.456)
O (0.353, 0.505, 0.309)
O (0.927, 0.599, 0.895)
O (0.228, 0.727, 0.158)
O (0.147, 0.505, 0.809)
O (0.361, 0.155, 0.427)
O (0.760, 0.639, 0.917)
O (0.936, 0.143, 0.261)
O (0.861, 0.845, 0.073)
O (0.674, 0.036, 0.152)
O (0.772, 0.273, 0.842)
O (0.427, 0.401, 0.605)
O (0.826, 0.036, 0.652)
O (0.938, 0.239, 0.807)
O (0.573, 0.599, 0.395)
O (0.647, 0.495, 0.691)
O (0.073, 0.401, 0.105)
P (0.652, 0.233, 0.207)
P (0.152, 0.357, 0.975)
P (0.848, 0.643, 0.025)
P (0.348, 0.767, 0.793)
P (0.152, 0.767, 0.293)
P (0.848, 0.233, 0.707)
P (0.348, 0.357, 0.475)
P (0.652, 0.643, 0.525)
Ca (0.803, 0.955, 0.358)
Ca (0.303, 0.045, 0.142)
Ca (0.500, 0.000, 0.500)
Ca (0.000, 0.000, 0.000)
Ca (0.197, 0.045, 0.642)
Ca (0.697, 0.955, 0.858)
H (0.584, 0.652, 0.054)
H (0.519, 0.160, 0.856)
H (0.417, 0.727, 0.282)
H (0.916, 0.652, 0.554)
H (0.981, 0.160, 0.356)
H (0.023, 0.268, 0.609)
H (0.416, 0.348, 0.946)
H (0.523, 0.732, 0.891)
H (0.977, 0.732, 0.391)
H (0.019, 0.840, 0.644)
H (0.436, 0.538, 0.625)
H (0.064, 0.538, 0.125)
H (0.917, 0.273, 0.218)
H (0.477, 0.268, 0.109)
H (0.481, 0.840, 0.144)
H (0.084, 0.348, 0.446)
H (0.564, 0.462, 0.375)
H (0.583, 0.273, 0.718)
H (0.083, 0.727, 0.782)
H (0.936, 0.462, 0.875)
Be (0.208, 0.554, 0.627)
Be (0.708, 0.446, 0.873)
Be (0.792, 0.446, 0.373)
Be (0.292, 0.554, 0.127)

3.
Nb11S12 | GGA-PBE | relaxed

Values from the calculation:
* distance to the lowest polymorph of the same formula: 0.0 meV/atom
* total magnetization: 0.0 μB per cell
* energy relative to the elements: -0.7087 eV per atom

abc: 5.734 5.734 35.267
angles: 86.50 86.50 56.83
Fractional positions:
S (0.975, 0.168, 0.543)
S (0.420, 0.655, 0.142)
S (0.025, 0.832, 0.457)
S (0.761, 0.982, 0.141)
S (0.225, 0.296, 0.959)
S (0.506, 0.317, 0.043)
S (0.494, 0.683, 0.957)
S (0.832, 0.025, 0.957)
S (0.296, 0.225, 0.459)
S (0.775, 0.704, 0.041)
S (0.580, 0.345, 0.858)
S (0.089, 0.319, 0.142)
S (0.683, 0.494, 0.457)
S (0.317, 0.506, 0.543)
S (0.982, 0.761, 0.641)
S (0.345, 0.580, 0.358)
S (0.704, 0.775, 0.541)
S (0.655, 0.420, 0.642)
S (0.319, 0.089, 0.642)
S (0.911, 0.681, 0.858)
S (0.239, 0.018, 0.859)
S (0.168, 0.975, 0.043)
S (0.681, 0.911, 0.358)
S (0.018, 0.239, 0.359)
Nb (0.648, 0.737, 0.685)
Nb (0.560, 0.440, 0.250)
Nb (0.661, 0.160, 0.500)
Nb (0.224, 0.112, 0.251)
Nb (0.339, 0.840, 0.500)
Nb (0.406, 0.314, 0.185)
Nb (0.594, 0.686, 0.815)
Nb (0.440, 0.560, 0.750)
Nb (0.686, 0.594, 0.315)
Nb (0.983, 0.072, 0.687)
Nb (0.017, 0.928, 0.313)
Nb (0.928, 0.017, 0.813)
Nb (0.888, 0.776, 0.249)
Nb (0.776, 0.888, 0.749)
Nb (0.112, 0.224, 0.751)
Nb (0.160, 0.661, 0.000)
Nb (0.840, 0.339, 0.000)
Nb (0.737, 0.648, 0.185)
Nb (0.072, 0.983, 0.187)
Nb (0.263, 0.352, 0.815)
Nb (0.352, 0.263, 0.315)
Nb (0.314, 0.406, 0.685)

4.
Mo3WSe6S2 | GGA-PBE | relaxed

Values from the calculation:
* distance to the lowest polymorph of the same formula: 0.0 meV/atom
* total magnetization: 0.0 μB per cell
* energy relative to the elements: -0.7823 eV per atom

abc: 3.286 3.286 37.335
angles: 90.00 90.00 120.00
Fractional positions:
Se (0.000, 0.000, 0.612)
Se (0.000, 0.000, 0.327)
Se (0.333, 0.667, 0.049)
Se (0.333, 0.667, 0.139)
Se (0.000, 0.000, 0.237)
Se (0.000, 0.000, 0.703)
Mo (0.333, 0.667, 0.282)
Mo (0.333, 0.667, 0.658)
Mo (0.000, 0.000, 0.094)
S (0.333, 0.667, 0.428)
S (0.333, 0.667, 0.511)
W (0.000, 0.000, 0.470)

5.
Mg14TiCO16 | GGA-PBE | relaxed

Values from the calculation:
* distance to the lowest polymorph of the same formula: 24.8 meV/atom
* total magnetization: 1.3 μB per cell
* energy relative to the elements: -2.6917 eV per atom

abc: 8.513 8.513 4.297
angles: 90.00 90.00 90.00
Fractional positions:
Mg (0.743, 0.257, 0.000)
Mg (0.746, 0.000, 0.500)
Mg (0.500, 0.743, 0.500)
Mg (0.000, 0.500, 0.000)
Mg (0.743, 0.743, 0.000)
Mg (0.257, 0.500, 0.500)
Mg (0.257, 0.743, 0.000)
Mg (0.743, 0.500, 0.500)
Mg (0.257, 0.257, 0.000)
Mg (0.254, 0.000, 0.500)
Mg (0.500, 0.257, 0.500)
Mg (0.500, 0.000, 0.000)
Mg (0.000, 0.254, 0.500)
Mg (0.000, 0.746, 0.500)
O (0.000, 0.247, 0.000)
O (0.000, 0.000, 0.500)
O (0.759, 0.500, 0.000)
O (0.241, 0.500, 0.000)
O (0.249, 0.751, 0.500)
O (0.500, 0.759, 0.000)
O (0.500, 0.000, 0.500)
O (0.247, 0.000, 0.000)
O (0.000, 0.500, 0.500)
O (0.753, 0.000, 0.000)
O (0.249, 0.249, 0.500)
O (0.751, 0.751, 0.500)
O (0.500, 0.241, 0.000)
O (0.500, 0.500, 0.500)
O (0.000, 0.753, 0.000)
O (0.751, 0.249, 0.500)
Ti (0.000, 0.000, 0.000)
C (0.500, 0.500, 0.000)

6.
TiP2O7 | GGA-PBE | relaxed

Values from the calculation:
* distance to the lowest polymorph of the same formula: 0.0 meV/atom
* energy relative to the elements: -2.9616 eV per atom

abc: 5.203 8.806 13.269
angles: 63.56 90.00 90.00
Fractional positions:
O (0.573, 0.716, 0.459)
O (0.233, 0.481, 0.122)
O (0.482, 0.761, 0.643)
O (0.744, 0.028, 0.057)
O (0.982, 0.239, 0.857)
O (0.256, 0.972, 0.943)
O (0.721, 0.835, 0.262)
O (0.779, 0.835, 0.762)
O (0.427, 0.284, 0.541)
O (0.267, 0.481, 0.622)
O (0.927, 0.716, 0.959)
O (0.518, 0.239, 0.357)
O (0.455, 0.702, 0.921)
O (0.244, 0.972, 0.443)
O (0.036, 0.259, 0.378)
O (0.018, 0.761, 0.143)
O (0.545, 0.298, 0.079)
O (0.073, 0.284, 0.041)
O (0.221, 0.165, 0.238)
O (0.464, 0.259, 0.878)
O (0.279, 0.165, 0.738)
O (0.756, 0.028, 0.557)
O (0.733, 0.519, 0.378)
O (0.955, 0.298, 0.579)
O (0.767, 0.519, 0.878)
O (0.964, 0.741, 0.622)
O (0.045, 0.702, 0.421)
O (0.536, 0.741, 0.122)
P (0.756, 0.842, 0.140)
P (0.256, 0.158, 0.360)
P (0.228, 0.315, 0.613)
P (0.272, 0.315, 0.113)
P (0.728, 0.685, 0.887)
P (0.744, 0.842, 0.640)
P (0.244, 0.158, 0.860)
P (0.772, 0.685, 0.387)
Ti (0.760, 0.273, 0.963)
Ti (0.740, 0.273, 0.463)
Ti (0.240, 0.727, 0.037)
Ti (0.260, 0.727, 0.537)

7.
Na4ScInSi2SO12 | GGA-PBE | relaxed

Values from the calculation:
* total magnetization: 0.0 μB per cell
* energy relative to the elements: -2.6252 eV per atom

abc: 9.253 9.240 22.779
angles: 90.08 89.94 119.69
Fractional positions:
Na (0.020, 0.009, 0.000)
Na (0.686, 0.340, 0.333)
Na (0.992, 0.621, 0.253)
Na (0.314, 0.332, 0.588)
Na (0.669, 0.688, 0.088)
Na (0.326, 0.647, 0.167)
Na (0.999, 0.353, 0.754)
Na (0.046, 0.341, 0.086)
Na (0.657, 0.954, 0.585)
Na (0.333, 0.019, 0.420)
Na (0.659, 0.313, 0.833)
Na (0.035, 0.712, 0.577)
Na (0.623, 0.633, 0.743)
Na (0.352, 0.674, 0.667)
Na (0.955, 0.299, 0.410)
Na (0.289, 0.967, 0.077)
Na (0.323, 0.287, 0.920)
Na (0.992, 0.980, 0.500)
Na (0.647, 0.999, 0.254)
Na (0.701, 0.045, 0.910)
Na (0.980, 0.665, 0.921)
Na (0.365, 0.377, 0.244)
Na (0.379, 0.010, 0.753)
Na (0.712, 0.677, 0.420)
In (0.313, 0.654, 0.017)
In (0.665, 0.333, 0.985)
In (0.001, 0.002, 0.152)
In (0.333, 0.668, 0.817)
In (0.014, 0.021, 0.849)
In (0.347, 0.688, 0.516)
O (0.681, 0.516, 0.246)
O (0.127, 0.634, 0.360)
O (0.641, 0.119, 0.136)
O (0.514, 0.685, 0.257)
O (0.968, 0.777, 0.803)
O (0.799, 0.816, 0.911)
O (0.645, 0.151, 0.422)
O (0.978, 0.819, 0.089)
O (0.310, 0.484, 0.753)
O (0.194, 0.969, 0.197)
O (0.820, 0.990, 0.410)
O (0.488, 0.357, 0.141)
O (0.564, 0.848, 0.474)
O (0.698, 0.540, 0.525)
O (0.832, 0.815, 0.588)
O (0.848, 0.355, 0.921)
O (0.488, 0.124, 0.640)
O (0.975, 0.177, 0.307)
O (0.823, 0.788, 0.306)
O (0.447, 0.295, 0.024)
O (0.850, 0.500, 0.421)
O (0.175, 0.207, 0.692)
O (0.008, 0.178, 0.915)
O (0.231, 0.183, 0.807)
O (0.368, 0.512, 0.080)
O (0.156, 0.967, 0.912)
O (0.151, 0.692, 0.752)
O (0.855, 0.308, 0.531)
O (0.875, 0.511, 0.140)
O (0.817, 0.021, 0.088)
O (0.152, 0.440, 0.974)
O (0.646, 0.515, 0.921)
O (0.028, 0.841, 0.411)
O (0.022, 0.813, 0.697)
O (0.851, 0.537, 0.742)
O (0.187, 0.203, 0.409)
O (0.489, 0.633, 0.579)
O (0.509, 0.875, 0.359)
O (0.498, 0.151, 0.920)
O (0.795, 0.969, 0.693)
O (0.301, 0.443, 0.470)
O (0.642, 0.512, 0.641)
O (0.695, 0.174, 0.744)
O (0.165, 0.484, 0.257)
O (0.313, 0.848, 0.257)
O (0.183, 0.023, 0.589)
O (0.113, 0.484, 0.857)
O (0.372, 0.885, 0.858)
O (0.306, 0.852, 0.976)
O (0.850, 0.554, 0.024)
O (0.693, 0.138, 0.030)
O (0.151, 0.653, 0.084)
O (0.516, 0.870, 0.079)
O (0.486, 0.358, 0.421)
O (0.042, 0.222, 0.191)
O (0.814, 0.027, 0.810)
O (0.973, 0.179, 0.588)
O (0.128, 0.480, 0.578)
O (0.217, 0.028, 0.303)
O (0.347, 0.850, 0.583)
O (0.881, 0.360, 0.636)
O (0.487, 0.324, 0.744)
O (0.148, 0.696, 0.477)
O (0.825, 0.304, 0.245)
O (0.464, 0.148, 0.244)
O (0.517, 0.833, 0.752)
O (0.527, 0.641, 0.864)
O (0.554, 0.697, 0.970)
O (0.184, 0.169, 0.088)
O (0.458, 0.156, 0.525)
O (0.778, 0.819, 0.191)
O (0.359, 0.479, 0.365)
Si (0.000, 0.296, 0.251)
Si (0.631, 0.967, 0.415)
Si (0.032, 0.368, 0.916)
Si (0.666, 0.627, 0.583)
Si (0.705, 0.001, 0.750)
Si (0.700, 0.703, 0.250)
Si (0.037, 0.667, 0.417)
Si (0.368, 0.039, 0.583)
Si (0.372, 0.334, 0.084)
Si (0.333, 0.963, 0.917)
Si (0.298, 0.299, 0.748)
Si (0.963, 0.633, 0.083)
Sc (0.330, 0.668, 0.317)
Sc (0.679, 0.355, 0.184)
Sc (0.646, 0.322, 0.683)
Sc (0.997, 0.002, 0.650)
Sc (0.665, 0.336, 0.483)
Sc (0.979, 0.987, 0.350)
S (0.630, 0.668, 0.917)
S (0.332, 0.372, 0.416)
S (0.296, 0.000, 0.251)
S (0.958, 0.333, 0.584)
S (0.665, 0.038, 0.084)
S (0.997, 0.705, 0.749)

8.
MgPd3 | GGA-PBE | relaxed

Values from the calculation:
* energy relative to the elements: -0.4862 eV per atom

abc: 3.976 3.976 3.976
angles: 90.00 90.00 90.00
Fractional positions:
Mg (0.000, 0.000, 0.000)
Pd (0.500, 0.500, 0.000)
Pd (0.500, 0.000, 0.500)
Pd (0.000, 0.500, 0.500)

9.
NaCrN | GGA-PBE | relaxed

Values from the calculation:
* distance to the lowest polymorph of the same formula: 0.0 meV/atom
* total magnetization: 4.0 μB per cell
* energy relative to the elements: -0.2921 eV per atom

abc: 3.108 3.107 10.499
angles: 90.00 90.00 120.01
Fractional positions:
Cr (0.001, 0.001, 0.518)
Cr (0.999, 0.999, 0.018)
Na (0.666, 0.332, 0.759)
Na (0.334, 0.668, 0.259)
N (0.666, 0.332, 0.068)
N (0.334, 0.668, 0.568)

10.
TeS3 | GGA-PBE | relaxed

Values from the calculation:
* energy relative to the elements: 0.1811 eV per atom

abc: 7.328 7.328 3.719
angles: 90.00 90.00 120.00
Fractional positions:
Te (0.667, 0.333, 0.250)
Te (0.333, 0.667, 0.750)
S (0.358, 0.179, 0.750)
S (0.179, 0.358, 0.250)
S (0.179, 0.821, 0.250)
S (0.821, 0.179, 0.750)
S (0.821, 0.642, 0.750)
S (0.642, 0.821, 0.250)

> Look up the energy relative to the elements of the first one.

-2.4079 eV per atom

> What is the formula in the sixth record?

TiP2O7

> Among the records above, which one has the highest energy relative to the elements?

TeS3

> Among the records above, which one has the highest energy relative to the elements?

TeS3